# 1
This record from Materials Project describes a relaxed structure of ZnGeO3. The functional is PBE.

formation energy: -1.411 eV per atom
MP2020-corrected energy: -5.556 eV/atom

a b c (Å): 3.722 3.722 3.722
angles (deg): 90.00 90.00 90.00
Space group Pm-3m (No. 221)
Asymmetric unit:
Zn1 0.000 0.000 0.000 (multiplicity 1)
Ge1 0.500 0.500 0.500 (multiplicity 1)
O1 0.000 0.500 0.500 (multiplicity 3)

# 2
This record from Materials Project describes a relaxed structure of ZnGeO3. The functional is PBE.

formation energy: -1.966 eV per atom
MP2020-corrected energy: -6.112 eV/atom

a b c (Å): 5.0454 5.0454 14.0826
angles (deg): 90.00 90.00 120.00
Space group R-3 (No. 148, hexagonal axes)
Asymmetric unit:
Zn1 0.0000 0.0000 0.1316 (multiplicity 6)
Ge1 0.0000 0.0000 0.3437 (multiplicity 6)
O1 0.0153 0.6379 0.9238 (multiplicity 18)